Entry 1:
Here is an optimized crystal structure of YAl8Cu4 from the Materials Project. Energies are from PBE.

Summary:
ΔH_f (0 K): -4.0 eV/f.u.

The structure in POSCAR format:
```
YAl8Cu4
1.0
3.988 -4.004 -3.663
0.789 3.746 5.541
-4.035 -4.733 2.583
Y Al Cu
1 8 4
direct
0.000 0.000 0.000
0.000 0.348 0.348
0.652 0.000 0.652
0.348 0.000 0.348
0.000 0.652 0.652
0.500 0.281 0.781
0.719 0.500 0.219
0.281 0.500 0.781
0.500 0.719 0.219
0.000 0.500 0.000
0.000 0.000 0.500
0.500 0.500 0.500
0.500 0.000 0.000
```


Entry 2:
Here is an optimized crystal structure of AlZnCu2 from the Materials Project. Energies are from PBE.

Summary:
Magnetization: 0.0 Bohr magnetons per cell
ΔH_f (0 K): -0.6 eV/f.u.

The structure in POSCAR format:
```
AlZnCu2
1.0
-3.888 -1.446 0.595
-3.298 2.389 -0.989
-2.394 -0.992 -3.293
Al Zn Cu
1 1 2
direct
0.500 0.500 0.500
0.000 0.000 0.000
0.750 0.750 0.750
0.250 0.250 0.250
```